No. 1
{
  "formula": "Tb5Bi3",
  "functional": "PBE-GGA",
  "state": "optimized geometry",
  "dft_energy_ev_per_fu": -40.4,
  "lattice": [[12.1648, 0.0000, 0.0000], [0.0000, 9.5473, 0.0000], [0.0000, 0.0000, 8.3637]],
  "species": ["Tb", "Tb", "Tb", "Tb", "Tb", "Tb", "Tb", "Tb", "Tb", "Tb", "Tb", "Tb", "Tb", "Tb", "Tb", "Tb", "Tb", "Tb", "Tb", "Tb", "Bi", "Bi", "Bi", "Bi", "Bi", "Bi", "Bi", "Bi", "Bi", "Bi", "Bi", "Bi"],
  "fractional_positions": [[0.0042, 0.2500, 0.0246], [0.0658, 0.0610, 0.6922], [0.0658, 0.4390, 0.6922], [0.2085, 0.7500, 0.3429], [0.2295, 0.2500, 0.3275], [0.2705, 0.7500, 0.8275], [0.2915, 0.2500, 0.8429], [0.4342, 0.5610, 0.1922], [0.4342, 0.9390, 0.1922], [0.4958, 0.7500, 0.5246], [0.5042, 0.2500, 0.4754], [0.5658, 0.0610, 0.8078], [0.5658, 0.4390, 0.8078], [0.7085, 0.7500, 0.1571], [0.7295, 0.2500, 0.1725], [0.7705, 0.7500, 0.6725], [0.7915, 0.2500, 0.6571], [0.9342, 0.5610, 0.3078], [0.9342, 0.9390, 0.3078], [0.9958, 0.7500, 0.9754], [0.0246, 0.7500, 0.5971], [0.1749, 0.5083, 0.0656], [0.1749, 0.9917, 0.0656], [0.3251, 0.0083, 0.5656], [0.3251, 0.4917, 0.5656], [0.4754, 0.2500, 0.0971], [0.5246, 0.7500, 0.9029], [0.6749, 0.5083, 0.4344], [0.6749, 0.9917, 0.4344], [0.8251, 0.0083, 0.9344], [0.8251, 0.4917, 0.9344], [0.9754, 0.2500, 0.4029]]
}

No. 2
{
  "formula": "Li3VS4",
  "functional": "PBE-GGA",
  "state": "optimized geometry",
  "dft_energy_ev_per_fu": -39.9,
  "lattice": [[7.9389, 0.0000, 0.0000], [0.0000, 6.8143, 0.0000], [0.0000, 0.0000, 6.2352]],
  "species": ["Li", "Li", "Li", "Li", "Li", "Li", "V", "V", "S", "S", "S", "S", "S", "S", "S", "S"],
  "fractional_positions": [[0.0000, 0.1619, 0.0000], [0.2465, 0.3292, 0.5026], [0.2535, 0.6708, 0.0026], [0.5000, 0.8381, 0.5000], [0.7465, 0.6708, 0.0026], [0.7535, 0.3292, 0.5026], [0.0000, 0.8286, 0.5140], [0.5000, 0.1714, 0.0140], [0.0000, 0.1296, 0.4034], [0.0000, 0.8255, 0.8610], [0.2254, 0.6794, 0.4025], [0.2746, 0.3206, 0.9025], [0.5000, 0.1745, 0.3610], [0.5000, 0.8704, 0.9034], [0.7254, 0.3206, 0.9025], [0.7746, 0.6794, 0.4025]]
}

No. 3
{
  "formula": "CeZn3P3",
  "functional": "PBE-GGA",
  "state": "optimized geometry",
  "dft_energy_ev_per_fu": -30.1,
  "lattice": [[4.0471, 0.0000, 0.0000], [-2.0235, 3.5049, 0.0000], [0.0000, 0.0000, 19.9231]],
  "species": ["Ce", "Ce", "Zn", "Zn", "Zn", "Zn", "Zn", "Zn", "P", "P", "P", "P", "P", "P"],
  "fractional_positions": [[0.0000, 0.0000, 0.0000], [0.0000, 0.0000, 0.5000], [0.3333, 0.6667, 0.1288], [0.3333, 0.6667, 0.3712], [0.3333, 0.6667, 0.7500], [0.6667, 0.3333, 0.2500], [0.6667, 0.3333, 0.6288], [0.6667, 0.3333, 0.8712], [0.3333, 0.6667, 0.2500], [0.3333, 0.6667, 0.5863], [0.3333, 0.6667, 0.9137], [0.6667, 0.3333, 0.0863], [0.6667, 0.3333, 0.4137], [0.6667, 0.3333, 0.7500]]
}